(1)
The following is a DFT calculation (PBE-GGA) of a relaxed structure of Sr3Al2Si3O12.

ρ: 4.3 g/cm3
total magnetization: 0.02 μB/f.u.
symmetry: Ia-3d, No. 230
DFT total energy: -7.34 eV/atom
energy of formation: -3.3466 eV per atom

Cell and atoms, written as POSCAR:
```
Sr3Al2Si3O12
1.0
-6.1379 6.1379 6.1379
6.1379 -6.1379 6.1379
6.1379 6.1379 -6.1379
Si O Al Sr
12 48 8 12
Direct
0.6250 0.7500 0.3750
0.8750 0.2500 0.1250
0.8750 0.1250 0.7500
0.6250 0.3750 0.2500
0.2500 0.6250 0.3750
0.7500 0.3750 0.6250
0.1250 0.7500 0.8750
0.3750 0.2500 0.6250
0.1250 0.8750 0.2500
0.2500 0.1250 0.8750
0.3750 0.6250 0.7500
0.7500 0.8750 0.1250
0.3917 0.5825 0.8907
0.6093 0.9175 0.1083
0.1909 0.1083 0.9990
0.6083 0.6909 0.4990
0.0825 0.6909 0.6918
0.3082 0.8907 0.9990
0.3091 0.5010 0.3917
0.3907 0.8082 0.4990
0.6909 0.4990 0.6083
0.8907 0.9990 0.3082
0.3907 0.0825 0.8917
0.8917 0.0010 0.8091
0.0010 0.6918 0.1093
0.8091 0.4175 0.8082
0.1083 0.6093 0.9175
0.3082 0.9175 0.3091
0.8082 0.4990 0.3907
0.8082 0.8091 0.4175
0.8091 0.8917 0.0010
0.5825 0.1918 0.1909
0.1918 0.5010 0.6093
0.0825 0.8917 0.3907
0.6918 0.1093 0.0010
0.9990 0.3082 0.8907
0.3091 0.3082 0.9175
0.6918 0.0825 0.6909
0.3917 0.3091 0.5010
0.6093 0.1918 0.5010
0.8907 0.3917 0.5825
0.5010 0.3917 0.3091
0.1909 0.5825 0.1918
0.5010 0.6093 0.1918
0.1918 0.1909 0.5825
0.9175 0.1083 0.6093
0.9990 0.1909 0.1083
0.4175 0.8082 0.8091
0.4990 0.3907 0.8082
0.8917 0.3907 0.0825
0.4990 0.6083 0.6909
0.1093 0.0010 0.6918
0.1093 0.6083 0.4175
0.1083 0.9990 0.1909
0.6909 0.6918 0.0825
0.0010 0.8091 0.8917
0.9175 0.3091 0.3082
0.4175 0.1093 0.6083
0.6083 0.4175 0.1093
0.5825 0.8907 0.3917
0.5000 0.0000 0.5000
0.0000 0.5000 0.5000
0.5000 0.5000 0.5000
0.0000 0.0000 0.0000
0.0000 0.0000 0.5000
0.5000 0.5000 0.0000
0.0000 0.5000 0.0000
0.5000 0.0000 0.0000
0.8750 0.7500 0.6250
0.3750 0.7500 0.1250
0.1250 0.3750 0.7500
0.2500 0.8750 0.6250
0.6250 0.8750 0.7500
0.1250 0.2500 0.3750
0.7500 0.6250 0.8750
0.6250 0.2500 0.8750
0.8750 0.6250 0.2500
0.3750 0.1250 0.2500
0.2500 0.3750 0.1250
0.7500 0.1250 0.3750
```

---

(2)
The following is a DFT calculation (PBE-GGA) of a relaxed structure of SrAl2Si2O8.

ρ: 3.0 g/cm3
total magnetization: 0.00 μB/f.u.
symmetry: C2/c, No. 15
DFT total energy: -7.60 eV/atom
energy of formation: -3.4415 eV per atom

Cell and atoms, written as POSCAR:
```
SrAl2Si2O8
1.0
-3.4460 -8.0027 -3.3071
0.1357 3.4435 -8.6590
7.3609 -3.4007 -2.3470
O Si Sr Al
32 8 4 8
Direct
0.5848 0.6799 0.1087
0.9848 0.7351 0.6948
0.4810 0.2301 0.2204
0.2649 0.0152 0.8052
0.6799 0.5848 0.6087
0.0595 0.1774 0.6154
0.8548 0.3555 0.5572
0.3201 0.4152 0.3913
0.6288 0.8711 0.4962
0.3225 0.5692 0.9911
0.9144 0.1777 0.0069
0.8226 0.9405 0.8846
0.3712 0.1289 0.5038
0.0152 0.2649 0.3052
0.1452 0.6445 0.4428
0.4152 0.3201 0.8913
0.2301 0.4810 0.7204
0.6775 0.4308 0.0089
0.6445 0.1452 0.9428
0.3555 0.8548 0.0572
0.4308 0.6775 0.5089
0.8223 0.0856 0.4931
0.8711 0.6288 0.9962
0.9405 0.8226 0.3846
0.7351 0.9848 0.1948
0.7699 0.5190 0.2796
0.1289 0.3712 0.0038
0.5190 0.7699 0.7796
0.1777 0.9144 0.5069
0.5692 0.3225 0.4911
0.1774 0.0595 0.1154
0.0856 0.8223 0.9931
0.5664 0.7181 0.6030
0.0591 0.7850 0.5106
0.2150 0.9409 0.9894
0.2819 0.4336 0.8970
0.7850 0.0591 0.0106
0.9409 0.2150 0.4894
0.7181 0.5664 0.1030
0.4336 0.2819 0.3970
0.0643 0.5670 0.2005
0.9357 0.4330 0.7995
0.4330 0.9357 0.2995
0.5670 0.0643 0.7005
0.4505 0.7085 0.9792
0.2915 0.5495 0.5208
0.0602 0.2061 0.1157
0.2061 0.0602 0.6157
0.7939 0.9398 0.3843
0.5495 0.2915 0.0208
0.7085 0.4505 0.4792
0.9398 0.7939 0.8843
```

---

Q: Which formula does entry 1 have?
A: Sr3Al2Si3O12

---

Q: Among the records above, which one has the lowest energy of formation?
A: SrAl2Si2O8

---

Q: Look up the energy of formation of the second one.
A: -3.4415 eV per atom